Entry from the Materials Project: an optimized crystal structure of MgMnV4O12 (PBE with a Hubbard U).

```
MgMnV4O12
1.0
5.3824 -4.3478 0.0000
5.3824 4.3478 0.0000
-2.2315 0.0000 5.5072
Mg Mn V O
1 1 4 12
direct
0.0000 0.0000 0.0000
0.8047 0.1953 0.5000
0.1385 0.4514 0.0307
0.3501 0.0519 0.4591
0.5486 0.8615 0.9693
0.9481 0.6499 0.5409
0.0865 0.6437 0.8511
0.0954 0.1499 0.3988
0.1040 0.5905 0.3297
0.3563 0.9135 0.1489
0.3744 0.3467 0.0582
0.4095 0.8960 0.6703
0.5044 0.2293 0.5459
0.6533 0.6256 0.9418
0.7457 0.0100 0.1093
0.7707 0.4956 0.4541
0.8501 0.9046 0.6012
0.9900 0.2543 0.8907
```

Results
Energy   -132.23 eV/cell
Offset from the most stable computed form   1 meV per atom
Total moment   5.007 μB per formula unit
Crystal system   monoclinic
Formation energy from the elements   -2.360 eV per atom
SG   C2